Mg14MoC | PBE | optimized geometry

Computed properties:
ΔE_f in kJ per mole of atoms: 33.8
Excess energy over the best structure of this formula in the dataset in meV per atom: 95.8
Calculated volume in Å³/atom: 20.13
Uncorrected energy in eV per formula unit: -36.9

```
data_Mg14MoC
_cell_length_a 6.2235
_cell_length_b 6.2235
_cell_length_c 9.6021
_cell_angle_alpha 90.00
_cell_angle_beta 90.00
_cell_angle_gamma 120.00
_space_group_name_H-M_alt 'P 1'
_space_group_IT_number 1
_space_group_name_Hall 'P 1'
loop_
_atom_site_label
_atom_site_type_symbol
_atom_site_fract_x
_atom_site_fract_y
_atom_site_fract_z
Mg1 Mg 0.3214 0.6428 0.8666
Mg2 Mg 0.1630 0.8315 0.6250
Mg3 Mg 0.6636 0.3271 0.1250
Mg4 Mg 0.6636 0.8364 0.1250
Mg5 Mg 0.8572 0.1786 0.3834
Mg6 Mg 0.6685 0.3370 0.6250
Mg7 Mg 0.8333 0.6667 0.8798
Mg8 Mg 0.6685 0.8315 0.6250
Mg9 Mg 0.8572 0.1786 0.8666
Mg10 Mg 0.3214 0.1786 0.3834
Mg11 Mg 0.3214 0.6428 0.3834
Mg12 Mg 0.3214 0.1786 0.8666
Mg13 Mg 0.1729 0.8364 0.1250
Mg14 Mg 0.8333 0.6667 0.3702
Mo1 Mo 0.1667 0.3333 0.1250
C1 C 0.1667 0.3333 0.6250
```

---

MgS8O20F8 | PBE | optimized geometry

Computed properties:
ΔE_f in kJ per mole of atoms: -179.5
Excess energy over the best structure of this formula in the dataset in meV per atom: 0.0
Calculated volume in Å³/atom: 17.57
Uncorrected energy in eV per formula unit: -200.4

```
data_MgS8O20F8
_cell_length_a 7.9414
_cell_length_b 8.8274
_cell_length_c 9.3798
_cell_angle_alpha 96.82
_cell_angle_beta 86.93
_cell_angle_gamma 94.76
_space_group_name_H-M_alt 'P 1'
_space_group_IT_number 1
_space_group_name_Hall 'P 1'
loop_
_atom_site_label
_atom_site_type_symbol
_atom_site_fract_x
_atom_site_fract_y
_atom_site_fract_z
F1 F 0.6724 0.5953 0.9245
F2 F 0.7524 0.1178 0.6018
F3 F 0.0961 0.2870 0.4338
F4 F 0.3918 0.7708 0.0945
F5 F 0.5987 0.2311 0.1060
F6 F 0.2653 0.9132 0.5886
F7 F 0.2240 0.4081 0.9445
F8 F 0.9119 0.7059 0.3610
O1 O 0.6151 0.2711 0.7955
O2 O 0.2082 0.5514 0.4854
O3 O 0.5030 0.0084 0.2318
O4 O 0.2091 0.9117 0.2672
O5 O 0.6926 0.9810 0.0088
O6 O 0.7541 0.5160 0.2066
O7 O 0.1369 0.1587 0.8238
O8 O 0.7951 0.4785 0.4625
O9 O 0.5370 0.8220 0.5099
O10 O 0.3137 0.3812 0.2701
O11 O 0.0432 0.3937 0.7416
O12 O 0.3026 0.0099 0.0305
O13 O 0.3883 0.7518 0.7405
O14 O 0.9341 0.3123 0.9707
O15 O 0.9963 0.7757 0.9708
O16 O 0.7926 0.1136 0.2473
O17 O 0.0308 0.4667 0.2705
O18 O 0.5059 0.0137 0.7319
O19 O 0.8646 0.8473 0.7560
O20 O 0.4828 0.2075 0.5584
S1 S 0.6697 0.0684 0.1435
S2 S 0.3247 0.9303 0.1494
S3 S 0.0742 0.3068 0.8568
S4 S 0.9303 0.7300 0.8289
S5 S 0.5789 0.1684 0.6695
S6 S 0.1866 0.4311 0.3724
S7 S 0.4312 0.8516 0.6352
S8 S 0.8534 0.5321 0.3310
Mg1 Mg 0.7239 0.4130 0.9758
```

---

PrCoSb2 | PBE | optimized geometry

Computed properties:
ΔE_f in kJ per mole of atoms: -70.1
Calculated volume in Å³/atom: 23.90
Uncorrected energy in eV per formula unit: -22.7

```
data_PrCoSb2
_cell_length_a 4.3848
_cell_length_b 4.3848
_cell_length_c 9.9442
_cell_angle_alpha 90.00
_cell_angle_beta 90.00
_cell_angle_gamma 90.00
_space_group_name_H-M_alt 'P 1'
_space_group_IT_number 1
_space_group_name_Hall 'P 1'
loop_
_atom_site_label
_atom_site_type_symbol
_atom_site_fract_x
_atom_site_fract_y
_atom_site_fract_z
Co1 Co 0.5000 0.5000 0.5000
Co2 Co 0.0000 0.0000 0.5000
Sb1 Sb 0.5000 0.5000 0.0000
Sb2 Sb 0.0000 0.0000 0.0000
Sb3 Sb 0.5000 0.0000 0.6291
Sb4 Sb 0.0000 0.5000 0.3709
Pr1 Pr 0.0000 0.5000 0.7427
Pr2 Pr 0.5000 0.0000 0.2573
```

---

NaAgC2 | PBE | optimized geometry

Computed properties:
ΔE_f in kJ per mole of atoms: 40.3
Calculated volume in Å³/atom: 19.13
Uncorrected energy in eV per formula unit: -20.9

```
data_NaAgC2
_cell_length_a 3.7825
_cell_length_b 3.7825
_cell_length_c 5.3480
_cell_angle_alpha 90.00
_cell_angle_beta 90.00
_cell_angle_gamma 90.00
_space_group_name_H-M_alt 'P 1'
_space_group_IT_number 1
_space_group_name_Hall 'P 1'
loop_
_atom_site_label
_atom_site_type_symbol
_atom_site_fract_x
_atom_site_fract_y
_atom_site_fract_z
C1 C 0.0000 0.0000 0.6167
C2 C 0.0000 0.0000 0.3833
Ag1 Ag 0.0000 0.0000 0.0000
Na1 Na 0.5000 0.5000 0.5000
```

---

Y2InAu2 | PBE | optimized geometry

Computed properties:
ΔE_f in kJ per mole of atoms: -79.0
Calculated volume in Å³/atom: 23.97
Uncorrected energy in eV per formula unit: -26.3

```
data_Y2InAu2
_cell_length_a 3.7102
_cell_length_b 8.0375
_cell_length_c 8.0375
_cell_angle_alpha 90.00
_cell_angle_beta 90.00
_cell_angle_gamma 90.00
_space_group_name_H-M_alt 'P 1'
_space_group_IT_number 1
_space_group_name_Hall 'P 1'
loop_
_atom_site_label
_atom_site_type_symbol
_atom_site_fract_x
_atom_site_fract_y
_atom_site_fract_z
Au1 Au 0.0000 0.8722 0.3722
Au2 Au 0.0000 0.1278 0.6278
Au3 Au 0.0000 0.6278 0.8722
Au4 Au 0.0000 0.3722 0.1278
Y1 Y 0.5000 0.3297 0.8297
Y2 Y 0.5000 0.8297 0.6703
Y3 Y 0.5000 0.1703 0.3297
Y4 Y 0.5000 0.6703 0.1703
In1 In 0.0000 0.0000 0.0000
In2 In 0.0000 0.5000 0.5000
```

---

RbNbB2O6 | PBE | optimized geometry

Computed properties:
ΔE_f in kJ per mole of atoms: -279.1
Calculated volume in Å³/atom: 14.65
Uncorrected energy in eV per formula unit: -78.9

```
data_RbNbB2O6
_cell_length_a 20.2242
_cell_length_b 7.5218
_cell_length_c 12.2159
_cell_angle_alpha 52.03
_cell_angle_beta 90.00
_cell_angle_gamma 90.00
_space_group_name_H-M_alt 'P 1'
_space_group_IT_number 1
_space_group_name_Hall 'P 1'
loop_
_atom_site_label
_atom_site_type_symbol
_atom_site_fract_x
_atom_site_fract_y
_atom_site_fract_z
B1 B 0.9004 0.8998 0.2757
B2 B 0.7096 0.8607 0.2931
B3 B 0.2904 0.8607 0.7931
B4 B 0.5099 0.5340 0.2877
B5 B 0.8940 0.5287 0.7748
B6 B 0.6899 0.8998 0.7802
B7 B 0.7022 0.5577 0.7938
B8 B 0.3043 0.5409 0.7829
B9 B 0.0996 0.8998 0.7757
B10 B 0.3101 0.8998 0.2802
B11 B 0.9075 0.5515 0.2936
B12 B 0.2978 0.5577 0.2938
B13 B 0.8974 0.8390 0.7938
B14 B 0.6957 0.5409 0.2829
B15 B 0.4941 0.8606 0.2898
B16 B 0.0925 0.5515 0.7936
B17 B 0.5059 0.8606 0.7898
B18 B 0.4901 0.5340 0.7877
B19 B 0.1026 0.8390 0.2938
B20 B 0.1060 0.5287 0.2748
O1 O 0.9102 0.6664 0.3512
O2 O 0.7301 0.6665 0.6660
O3 O 0.8900 0.6106 0.8515
O4 O 0.7774 0.9783 0.0021
O5 O 0.7087 0.3186 0.3495
O6 O 0.9259 0.9933 0.6675
O7 O 0.3305 0.9759 0.3515
O8 O 0.0887 0.9902 0.8425
O9 O 0.9113 0.9902 0.3425
O10 O 0.8789 0.3067 0.8428
O11 O 0.8206 0.0442 0.4973
O12 O 0.6695 0.9759 0.8515
O13 O 0.4908 0.9414 0.8603
O14 O 0.9333 0.3385 0.3741
O15 O 0.3282 0.6714 0.6506
O16 O 0.1211 0.3067 0.3428
O17 O 0.6901 0.6644 0.8543
O18 O 0.9792 0.9716 0.9959
O19 O 0.5327 0.9987 0.6603
O20 O 0.2913 0.3186 0.8495
O21 O 0.3099 0.6644 0.3543
O22 O 0.6219 0.9440 0.4979
O23 O 0.7089 0.6287 0.3546
O24 O 0.6842 0.3376 0.8703
O25 O 0.2699 0.6665 0.1660
O26 O 0.4232 0.0340 0.5033
O27 O 0.2911 0.6287 0.8546
O28 O 0.6718 0.6714 0.1506
O29 O 0.8820 0.0357 0.1395
O30 O 0.0898 0.6664 0.8512
O31 O 0.5768 0.0340 0.0033
O32 O 0.6866 0.0212 0.1624
O33 O 0.3158 0.3376 0.3703
O34 O 0.3781 0.9440 0.9979
O35 O 0.4900 0.6477 0.1535
O36 O 0.1100 0.6106 0.3515
O37 O 0.9107 0.6638 0.6375
O38 O 0.3134 0.0212 0.6624
O39 O 0.8814 0.6466 0.1658
O40 O 0.5092 0.9414 0.3603
O41 O 0.5080 0.6316 0.3560
O42 O 0.5100 0.6477 0.6535
O43 O 0.0667 0.3385 0.8741
O44 O 0.4920 0.6316 0.8560
O45 O 0.8738 0.8962 0.8727
O46 O 0.0208 0.9716 0.4959
O47 O 0.1262 0.8962 0.3727
O48 O 0.7077 0.0457 0.6438
O49 O 0.1180 0.0357 0.6395
O50 O 0.2923 0.0457 0.1438
O51 O 0.1186 0.6466 0.6658
O52 O 0.5346 0.3194 0.3627
O53 O 0.0893 0.6638 0.1375
O54 O 0.4654 0.3194 0.8627
O55 O 0.4673 0.9987 0.1603
O56 O 0.7361 0.9159 0.3718
O57 O 0.0741 0.9933 0.1675
O58 O 0.2639 0.9159 0.8718
O59 O 0.1794 0.0442 0.9973
O60 O 0.2226 0.9783 0.5021
Nb1 Nb 0.2677 0.9983 0.9989
Nb2 Nb 0.5333 0.9839 0.5001
Nb3 Nb 0.1329 0.9795 0.4977
Nb4 Nb 0.9320 0.0025 0.4970
Nb5 Nb 0.6661 0.0105 0.0004
Nb6 Nb 0.0680 0.0025 0.9970
Nb7 Nb 0.7323 0.9983 0.4989
Nb8 Nb 0.3339 0.0105 0.5004
Nb9 Nb 0.4667 0.9839 0.0001
Nb10 Nb 0.8671 0.9795 0.9977
Rb1 Rb 0.9931 0.3964 0.1006
Rb2 Rb 0.8069 0.3891 0.5970
Rb3 Rb 0.5931 0.3826 0.1057
Rb4 Rb 0.2067 0.3890 0.6051
Rb5 Rb 0.0069 0.3964 0.6006
Rb6 Rb 0.6067 0.4029 0.6002
Rb7 Rb 0.3933 0.4029 0.1002
Rb8 Rb 0.7933 0.3890 0.1051
Rb9 Rb 0.4069 0.3826 0.6057
Rb10 Rb 0.1931 0.3891 0.0970
```